Compound: BaNd2Sc2O7
Source: Materials Project
Functional: PBE
Structure: relaxed

## Properties
- Energy of formation: -45.07 eV/f.u.
- Total DFT energy (no corrections): -8.251 eV/atom

Lattice parameters (Å, degrees): 5.854 5.854 20.454 90.00 90.00 90.00
Space group P4_2/mnm (No. 136)
Inequivalent atoms, fractional coordinates:
Ba: 0.238 0.238 0.000 x4
Nd: 0.223 0.223 0.184 x8
Sc: 0.242 0.242 0.398 x8
O: 0.000 0.000 0.094 x4
O: 0.000 0.000 0.370 x4
O: 0.000 0.500 0.114 x8
O: 0.186 0.814 0.210 x8
O: 0.216 0.216 0.500 x4